Computed, not measured: a relaxed structure of NdRe4Si2 at the GGA-PBE level of DFT.

Cell lengths 7.3757, 15.4826, 4.1574 Å; angles 90.00, 90.00, 90.00 degrees
Sites, in units of the cell vectors:
Nd  0.0766  0.1185  0.0000
Nd  0.4234  0.6185  0.5000
Nd  0.5766  0.3815  0.5000
Nd  0.9234  0.8815  0.0000
Re  0.0134  0.7061  0.5000
Re  0.0693  0.5821  0.0000
Re  0.1379  0.4480  0.5000
Re  0.2305  0.3214  0.0000
Re  0.2695  0.8214  0.5000
Re  0.3621  0.9480  0.0000
Re  0.4307  0.0821  0.5000
Re  0.4866  0.2061  0.0000
Re  0.5134  0.7939  0.0000
Re  0.5693  0.9179  0.5000
Re  0.6379  0.0520  0.0000
Re  0.7305  0.1786  0.5000
Re  0.7695  0.6786  0.0000
Re  0.8621  0.5520  0.5000
Re  0.9307  0.4179  0.0000
Re  0.9866  0.2939  0.5000
Si  0.1724  0.9761  0.5000
Si  0.2117  0.7271  0.0000
Si  0.2883  0.2271  0.5000
Si  0.3276  0.4761  0.0000
Si  0.6724  0.5239  0.0000
Si  0.7117  0.7729  0.5000
Si  0.7883  0.2729  0.0000
Si  0.8276  0.0239  0.5000

E ... -9.79 eV/atom